Record 1
{
  "formula": "K2NaNiF6",
  "functional": "PBE+U",
  "state": "optimized geometry",
  "space_group": "Fm-3m",
  "magmom_total_mub_per_cell": 1.0,
  "formation_energy_ev_per_atom": -2.617,
  "energy_ev_per_cell": -41.7,
  "lattice_angstrom": [[0.000, 4.172, 4.172], [4.172, 0.000, 4.172], [4.172, 4.172, 0.000]],
  "species": ["K", "K", "Na", "Ni", "F", "F", "F", "F", "F", "F"],
  "frac_coords": [[0.250, 0.250, 0.250], [0.750, 0.750, 0.750], [0.000, 0.000, 0.000], [0.500, 0.500, 0.500], [0.270, 0.270, 0.730], [0.270, 0.730, 0.270], [0.270, 0.730, 0.730], [0.730, 0.270, 0.270], [0.730, 0.270, 0.730], [0.730, 0.730, 0.270]]
}



Record 2
{
  "formula": "KNaWO2F4",
  "functional": "PBE+U",
  "state": "optimized geometry",
  "space_group": "P4/nmm",
  "magmom_total_mub_per_cell": 0.0,
  "formation_energy_ev_per_atom": -2.656,
  "energy_ev_per_cell": -98.4,
  "lattice_angstrom": [[6.170, 0.000, 0.000], [0.000, 6.170, 0.000], [0.000, 0.000, 8.393]],
  "species": ["K", "K", "Na", "Na", "W", "W", "O", "O", "O", "O", "F", "F", "F", "F", "F", "F", "F", "F"],
  "frac_coords": [[0.250, 0.750, 0.000], [0.750, 0.250, 0.000], [0.250, 0.250, 0.274], [0.750, 0.750, 0.726], [0.250, 0.250, 0.759], [0.750, 0.750, 0.241], [0.250, 0.250, 0.544], [0.250, 0.250, 0.982], [0.750, 0.750, 0.018], [0.750, 0.750, 0.456], [0.024, 0.024, 0.768], [0.024, 0.476, 0.768], [0.476, 0.024, 0.768], [0.476, 0.476, 0.768], [0.524, 0.524, 0.232], [0.524, 0.976, 0.232], [0.976, 0.524, 0.232], [0.976, 0.976, 0.232]]
}



Record 3
{
  "formula": "K2NaVF6",
  "functional": "PBE+U",
  "state": "optimized geometry",
  "space_group": "Fm-3m",
  "magmom_total_mub_per_cell": 2.0,
  "formation_energy_ev_per_atom": -3.169,
  "energy_ev_per_cell": -51.3,
  "lattice_angstrom": [[0.000, 4.238, 4.238], [4.238, 0.000, 4.238], [4.238, 4.238, 0.000]],
  "species": ["K", "K", "Na", "V", "F", "F", "F", "F", "F", "F"],
  "frac_coords": [[0.250, 0.250, 0.250], [0.750, 0.750, 0.750], [0.000, 0.000, 0.000], [0.500, 0.500, 0.500], [0.267, 0.267, 0.733], [0.267, 0.733, 0.267], [0.267, 0.733, 0.733], [0.733, 0.267, 0.267], [0.733, 0.267, 0.733], [0.733, 0.733, 0.267]]
}



Record 4
{
  "formula": "KNiF3",
  "functional": "PBE+U",
  "state": "optimized geometry",
  "space_group": "Pm-3m",
  "formation_energy_ev_per_atom": -2.640,
  "energy_ev_per_cell": -21.9,
  "lattice_angstrom": [[4.069, 0.000, 0.000], [0.000, 4.069, 0.000], [0.000, 0.000, 4.069]],
  "species": ["K", "Ni", "F", "F", "F"],
  "frac_coords": [[0.000, 0.000, 0.000], [0.500, 0.500, 0.500], [0.000, 0.500, 0.500], [0.500, 0.000, 0.500], [0.500, 0.500, 0.000]]
}